Entry 1:
Here is NaPS3 after structural relaxation from the Materials Project database. Energies are from PBE.

ΔH_f (0 K), eV per atom: -0.87
Spin magnetization, μB/cell: 0.00
Space-group type: P2_1/m (11)
Calculated total energy, eV/f.u.: -22.0

extended XYZ file:
```
20
Lattice="-2.6337 7.4165 0.5651 -6.0703 -1.9921 -2.1463 -2.5717 -1.5701 8.6212" Properties=species:S:1:pos:R:3 pbc="T T T"
S -8.1683 2.8394 7.2985
S -2.2201 0.9885 4.2243
S -5.9065 5.3552 6.6858
S -5.3340 -0.0581 3.4467
S -5.3692 -1.5009 0.3542
S -3.1075 1.0149 -0.2584
S -4.8612 2.4116 6.4615
S -6.4145 1.4427 0.5785
S -9.0557 2.8658 2.8158
S -5.9418 3.9123 3.5934
S -8.1722 -1.2678 6.0964
S -3.1035 5.1221 0.9436
P -4.8405 4.1775 5.2464
P -4.9651 0.3852 -0.6518
P -6.3106 3.4691 7.6918
P -6.4352 -0.3232 1.7936
Na -8.7509 4.7814 5.1421
Na -3.7700 2.5796 2.1652
Na -7.5057 1.2747 4.8749
Na -2.5248 -0.9271 1.8980
```

***

Entry 2:
Here is InCuSe2 after structural relaxation from the Materials Project database. Energies are from PBE.

ΔH_f (0 K), eV per atom: -0.61
Spin magnetization, μB/cell: 0.00
Space-group type: Cm (8)
Calculated total energy, eV/f.u.: -15.3

extended XYZ file:
```
4
Lattice="-3.2036 1.7427 1.9606 0.3509 3.8283 1.5606 -2.1689 2.6114 -5.9182" Properties=species:S:1:pos:R:3 pbc="T T T"
Cu -2.0726 3.9235 1.8719
In -2.3432 3.5260 -2.6074
Se -2.8882 4.9043 -0.3506
Se -0.9815 1.8947 1.0882
```

***

Entry 3:
Here is CsKMg6O7 after structural relaxation from the Materials Project database. Energies are from PBE.

ΔH_f (0 K), eV per atom: -2.07
Spin magnetization, μB/cell: 0.00
Space-group type: P4mm (99)
Calculated total energy, eV/f.u.: -72.5

extended XYZ file:
```
15
Lattice="-7.6744 -1.0411 -2.1816 1.3502 -3.8081 -2.9322 -0.6531 -3.1628 3.8068" Properties=species:S:1:pos:R:3 pbc="T T T"
O -4.1736 -2.1033 0.8098
O -5.6082 -0.7608 -1.5943
O -5.4696 -4.2747 -1.2166
O -3.1720 -2.4259 -2.5597
O -0.4401 -1.5968 1.8711
O -1.6399 -3.7552 -0.1280
O 0.5616 -1.9194 -1.4984
Cs -3.2552 -0.4416 -0.9254
Mg -3.5843 -4.0190 -0.6807
Mg -5.1071 -2.6884 -3.1098
Mg 0.3108 -3.4906 0.4266
Mg -1.2689 -2.1677 -2.0187
Mg -6.1088 -2.3658 0.2597
Mg -2.2705 -1.8451 1.3508
K -0.1141 -0.0155 -0.0324
```

***

Entry 4:
Here is La5Mg after structural relaxation from the Materials Project database. Energies are from PBE.

ΔH_f (0 K), eV per atom: 0.01
Spin magnetization, μB/cell: 0.03
Space-group type: Cm (8)
Polymorph energy (0 for the lowest one), kJ per mole of atoms: 0.0
Calculated total energy, eV/f.u.: -26.2

extended XYZ file:
```
6
Lattice="1.8978 6.5247 0.0000 -1.8978 6.5247 0.0000 0.0000 2.6689 8.4744" Properties=species:S:1:pos:R:3 pbc="T T T"
La 0.0000 10.4750 5.7965
La 0.0000 6.2161 7.9177
La 0.0000 13.9444 4.8614
La 0.0000 4.9905 2.8193
La 0.0000 0.1675 0.3124
Mg 0.0000 8.7415 2.3037
```